Record 1
! CoPO4, optimized geometry, DFT GGA+U; values from VASP
&SYSTEM
  ibrav = 0, nat = 48, ntyp = 3
/
ATOMIC_SPECIES
Co 58.93 Co.upf
P 30.97 P.upf
O 16.00 O.upf
ATOMIC_POSITIONS crystal
Co 0.131 0.094 0.251
Co 0.131 0.406 0.751
Co 0.347 0.623 0.502
Co 0.347 0.877 0.002
Co 0.653 0.123 0.998
Co 0.653 0.377 0.498
Co 0.869 0.594 0.249
Co 0.869 0.906 0.749
P 0.113 0.143 0.929
P 0.113 0.357 0.429
P 0.370 0.621 0.186
P 0.370 0.879 0.686
P 0.630 0.121 0.314
P 0.630 0.379 0.814
P 0.887 0.643 0.571
P 0.887 0.857 0.071
O 0.055 0.175 0.076
O 0.055 0.325 0.576
O 0.105 0.569 0.628
O 0.105 0.931 0.128
O 0.149 0.543 0.180
O 0.149 0.957 0.680
O 0.152 0.249 0.840
O 0.152 0.251 0.340
O 0.336 0.061 0.937
O 0.336 0.439 0.437
O 0.353 0.719 0.080
O 0.353 0.781 0.580
O 0.411 0.676 0.332
O 0.411 0.824 0.832
O 0.414 0.040 0.331
O 0.414 0.460 0.831
O 0.586 0.540 0.169
O 0.586 0.960 0.669
O 0.589 0.176 0.168
O 0.589 0.324 0.668
O 0.647 0.219 0.420
O 0.647 0.281 0.920
O 0.664 0.561 0.563
O 0.664 0.939 0.063
O 0.848 0.749 0.660
O 0.848 0.751 0.160
O 0.851 0.043 0.320
O 0.851 0.457 0.820
O 0.895 0.069 0.872
O 0.895 0.431 0.372
O 0.945 0.675 0.424
O 0.945 0.825 0.924
CELL_PARAMETERS angstrom
5.807 0.000 0.000
0.000 11.100 0.000
-0.759 0.000 9.840
! Calculated formation energy (eV per atom): -1.993

***

Record 2
! Li5Fe8B8O24, optimized geometry, DFT GGA+U; values from VASP
&SYSTEM
  ibrav = 0, nat = 45, ntyp = 4
/
ATOMIC_SPECIES
Li 6.94 Li.upf
Fe 55.84 Fe.upf
B 10.81 B.upf
O 16.00 O.upf
ATOMIC_POSITIONS crystal
Li 0.000 0.000 0.000
Li 0.008 0.990 0.514
Li 0.331 0.343 0.255
Li 0.505 0.501 0.981
Li 0.822 0.843 0.252
Fe 0.024 0.330 0.970
Fe 0.334 0.013 0.228
Fe 0.338 0.671 0.719
Fe 0.494 0.179 0.483
Fe 0.514 0.830 0.969
Fe 0.834 0.502 0.229
Fe 0.837 0.173 0.729
Fe 0.986 0.659 0.479
B 0.006 0.668 0.980
B 0.338 0.001 0.724
B 0.338 0.667 0.221
B 0.497 0.842 0.473
B 0.507 0.167 0.974
B 0.832 0.172 0.220
B 0.837 0.502 0.730
B 0.996 0.331 0.465
O 0.075 0.666 0.256
O 0.078 0.016 0.715
O 0.251 0.335 0.445
O 0.259 0.655 0.934
O 0.360 0.969 0.440
O 0.363 0.721 0.523
O 0.374 0.040 0.008
O 0.396 0.302 0.983
O 0.445 0.868 0.763
O 0.460 0.798 0.193
O 0.469 0.535 0.211
O 0.493 0.119 0.690
O 0.579 0.182 0.259
O 0.581 0.521 0.746
O 0.760 0.838 0.455
O 0.768 0.154 0.933
O 0.849 0.452 0.421
O 0.873 0.209 0.523
O 0.879 0.539 0.024
O 0.888 0.801 0.985
O 0.949 0.369 0.766
O 0.954 0.039 0.208
O 0.966 0.303 0.188
O 0.992 0.614 0.682
CELL_PARAMETERS angstrom
5.249 0.000 0.000
0.052 9.121 0.000
0.252 0.202 10.113
! Calculated formation energy (eV per atom): -2.285
! Offset from the most stable computed form (eV per atom): 0.0062

***

Record 3
! Al2FeO4, optimized geometry, DFT GGA+U; values from VASP
&SYSTEM
  ibrav = 0, nat = 84, ntyp = 3
/
ATOMIC_SPECIES
Al 26.98 Al.upf
Fe 55.84 Fe.upf
O 16.00 O.upf
ATOMIC_POSITIONS crystal
Al 0.000 0.000 0.000
Al 0.000 0.001 0.499
Al 0.001 0.998 0.810
Al 0.009 0.495 0.750
Al 0.164 0.165 0.583
Al 0.165 0.672 0.583
Al 0.169 0.165 0.083
Al 0.169 0.665 0.083
Al 0.332 0.834 0.417
Al 0.333 0.334 0.166
Al 0.337 0.829 0.918
Al 0.497 0.008 0.750
Al 0.498 0.495 0.750
Al 0.499 0.502 0.250
Al 0.500 0.002 0.250
Al 0.667 0.666 0.333
Al 0.667 0.666 0.645
Al 0.668 0.165 0.083
Al 0.673 0.165 0.583
Al 0.830 0.338 0.918
Al 0.831 0.829 0.918
Al 0.832 0.335 0.417
Al 0.832 0.833 0.417
Al 0.999 0.502 0.250
Fe 0.000 0.001 0.187
Fe 0.002 0.000 0.312
Fe 0.002 0.998 0.689
Fe 0.333 0.333 0.977
Fe 0.333 0.334 0.856
Fe 0.334 0.333 0.354
Fe 0.334 0.333 0.480
Fe 0.335 0.331 0.666
Fe 0.667 0.667 0.145
Fe 0.667 0.667 0.521
Fe 0.668 0.665 0.022
Fe 0.668 0.667 0.835
O 0.001 0.000 0.617
O 0.001 0.997 0.874
O 0.003 0.996 0.118
O 0.043 0.477 0.122
O 0.142 0.714 0.956
O 0.143 0.141 0.955
O 0.144 0.148 0.456
O 0.144 0.708 0.456
O 0.182 0.180 0.715
O 0.184 0.633 0.714
O 0.187 0.189 0.211
O 0.188 0.625 0.211
O 0.289 0.857 0.543
O 0.291 0.854 0.044
O 0.331 0.336 0.284
O 0.334 0.333 0.049
O 0.335 0.333 0.552
O 0.335 0.335 0.786
O 0.344 0.827 0.786
O 0.376 0.813 0.289
O 0.479 0.042 0.123
O 0.481 0.477 0.122
O 0.499 0.002 0.620
O 0.500 0.503 0.620
O 0.512 0.973 0.883
O 0.513 0.512 0.883
O 0.521 0.521 0.378
O 0.521 0.958 0.378
O 0.625 0.189 0.211
O 0.640 0.180 0.715
O 0.664 0.667 0.953
O 0.664 0.668 0.451
O 0.666 0.670 0.216
O 0.668 0.665 0.710
O 0.707 0.146 0.456
O 0.715 0.140 0.956
O 0.812 0.376 0.289
O 0.812 0.813 0.290
O 0.830 0.342 0.787
O 0.831 0.827 0.786
O 0.856 0.853 0.045
O 0.856 0.856 0.544
O 0.857 0.290 0.045
O 0.857 0.290 0.544
O 0.957 0.521 0.378
O 0.974 0.511 0.884
O 0.996 0.001 0.383
O 0.999 0.502 0.619
CELL_PARAMETERS angstrom
5.827 0.000 0.000
2.905 5.052 0.000
0.052 0.010 28.638
! Calculated formation energy (eV per atom): -2.870
! Offset from the most stable computed form (eV per atom): 0.0334

***

Record 4
! Li9Mn2Co5O16, optimized geometry, DFT GGA+U; values from VASP
&SYSTEM
  ibrav = 0, nat = 32, ntyp = 4
/
ATOMIC_SPECIES
Li 6.94 Li.upf
Mn 54.94 Mn.upf
Co 58.93 Co.upf
O 16.00 O.upf
ATOMIC_POSITIONS crystal
Li 0.000 0.000 0.000
Li 0.135 0.135 0.370
Li 0.258 0.258 0.740
Li 0.321 0.321 0.432
Li 0.381 0.381 0.121
Li 0.502 0.502 0.489
Li 0.631 0.631 0.870
Li 0.750 0.750 0.255
Li 0.876 0.876 0.606
Mn 0.069 0.069 0.679
Mn 0.937 0.937 0.311
Co 0.192 0.192 0.058
Co 0.441 0.441 0.808
Co 0.568 0.568 0.185
Co 0.701 0.701 0.542
Co 0.814 0.814 0.931
O 0.032 0.032 0.826
O 0.103 0.103 0.541
O 0.154 0.154 0.213
O 0.226 0.226 0.901
O 0.281 0.281 0.588
O 0.357 0.357 0.277
O 0.407 0.407 0.959
O 0.484 0.484 0.654
O 0.525 0.525 0.331
O 0.607 0.607 0.036
O 0.650 0.650 0.711
O 0.718 0.718 0.407
O 0.775 0.775 0.082
O 0.856 0.856 0.780
O 0.915 0.915 0.448
O 0.976 0.976 0.160
CELL_PARAMETERS angstrom
7.652 -1.449 0.000
7.652 1.449 0.000
-0.555 0.000 12.985
! Calculated formation energy (eV per atom): -1.830
! Offset from the most stable computed form (eV per atom): 0.0346

***

Record 5
! KNaMo2O6, optimized geometry, DFT GGA+U; values from VASP
&SYSTEM
  ibrav = 0, nat = 10, ntyp = 4
/
ATOMIC_SPECIES
K 39.10 K.upf
Na 22.99 Na.upf
Mo 95.94 Mo.upf
O 16.00 O.upf
ATOMIC_POSITIONS crystal
K 0.000 0.000 0.000
Na 0.000 0.000 0.500
Mo 0.500 0.500 0.252
Mo 0.500 0.500 0.748
O 0.000 0.500 0.254
O 0.000 0.500 0.746
O 0.500 0.000 0.254
O 0.500 0.000 0.746
O 0.500 0.500 0.000
O 0.500 0.500 0.500
CELL_PARAMETERS angstrom
3.985 0.000 0.000
0.000 3.985 0.000
0.000 0.000 7.913
! Calculated formation energy (eV per atom): -2.033

***

Record 6
! CaLaFeAgO6, optimized geometry, DFT GGA+U; values from VASP
&SYSTEM
  ibrav = 0, nat = 40, ntyp = 5
/
ATOMIC_SPECIES
Ca 40.08 Ca.upf
La 138.91 La.upf
Fe 55.84 Fe.upf
Ag 107.87 Ag.upf
O 16.00 O.upf
ATOMIC_POSITIONS crystal
Ca 0.516 0.126 0.559
Ca 0.516 0.626 0.559
Ca 0.016 0.376 0.941
Ca 0.016 0.876 0.941
La 0.986 0.125 0.052
La 0.986 0.624 0.052
La 0.486 0.374 0.448
La 0.486 0.874 0.448
Fe 0.000 0.500 0.502
Fe 0.500 0.750 0.998
Fe 0.000 0.000 0.502
Fe 0.499 0.250 0.998
Ag 0.000 0.250 0.501
Ag 0.000 0.750 0.501
Ag 0.500 0.500 0.999
Ag 0.500 0.000 0.999
O 0.604 0.373 0.034
O 0.604 0.873 0.034
O 0.104 0.123 0.465
O 0.104 0.623 0.465
O 0.185 0.474 0.218
O 0.185 0.974 0.218
O 0.684 0.224 0.282
O 0.684 0.724 0.282
O 0.212 0.275 0.190
O 0.212 0.775 0.190
O 0.712 0.025 0.311
O 0.712 0.525 0.311
O 0.905 0.377 0.539
O 0.905 0.877 0.539
O 0.404 0.127 0.960
O 0.404 0.627 0.960
O 0.311 0.276 0.720
O 0.311 0.776 0.720
O 0.810 0.026 0.780
O 0.810 0.526 0.780
O 0.282 0.475 0.695
O 0.282 0.975 0.694
O 0.783 0.225 0.806
O 0.783 0.725 0.806
CELL_PARAMETERS angstrom
0.004 5.628 0.025
0.003 0.073 15.582
5.799 0.004 0.001
! Calculated formation energy (eV per atom): -2.174

***

Record 7
! Li6V3P8O29, optimized geometry, DFT GGA+U; values from VASP
&SYSTEM
  ibrav = 0, nat = 92, ntyp = 4
/
ATOMIC_SPECIES
Li 6.94 Li.upf
V 50.94 V.upf
P 30.97 P.upf
O 16.00 O.upf
ATOMIC_POSITIONS crystal
Li 0.000 0.000 0.000
Li 0.001 0.567 0.498
Li 0.135 0.434 0.000
Li 0.234 0.098 0.122
Li 0.240 0.229 0.619
Li 0.568 0.431 0.500
Li 0.662 0.237 0.121
Li 0.666 0.667 0.621
Li 0.800 0.669 0.117
Li 0.805 0.094 0.620
Li 0.852 0.368 0.054
Li 0.936 0.282 0.554
V 0.338 0.332 0.809
V 0.339 0.893 0.312
V 0.462 0.770 0.812
V 0.465 0.335 0.308
V 0.900 0.773 0.309
V 0.902 0.898 0.808
P 0.123 0.029 0.719
P 0.126 0.423 0.216
P 0.213 0.106 0.904
P 0.214 0.245 0.400
P 0.232 0.668 0.928
P 0.235 0.664 0.427
P 0.567 0.999 0.690
P 0.568 0.000 0.190
P 0.592 0.419 0.718
P 0.597 0.555 0.219
P 0.676 0.644 0.404
P 0.677 0.244 0.903
P 0.813 0.110 0.403
P 0.814 0.645 0.900
P 0.988 0.024 0.219
P 0.992 0.559 0.717
O 0.088 0.658 0.386
O 0.088 0.824 0.888
O 0.099 0.128 0.817
O 0.104 0.337 0.309
O 0.106 0.139 0.638
O 0.125 0.331 0.490
O 0.126 0.110 0.995
O 0.127 0.334 0.128
O 0.155 0.003 0.219
O 0.161 0.414 0.717
O 0.224 0.523 0.888
O 0.231 0.668 0.034
O 0.233 0.812 0.380
O 0.234 0.660 0.534
O 0.237 0.252 0.901
O 0.245 0.077 0.398
O 0.280 0.425 0.229
O 0.281 0.877 0.725
O 0.368 0.250 0.387
O 0.371 0.954 0.892
O 0.379 0.665 0.879
O 0.391 0.520 0.388
O 0.412 0.144 0.731
O 0.416 0.007 0.231
O 0.435 0.419 0.731
O 0.446 0.715 0.224
O 0.522 0.243 0.890
O 0.525 0.803 0.389
O 0.563 0.416 0.218
O 0.565 0.000 0.584
O 0.567 0.587 0.717
O 0.575 0.846 0.733
O 0.575 0.994 0.084
O 0.579 0.144 0.229
O 0.642 0.252 0.398
O 0.647 0.673 0.897
O 0.672 0.561 0.495
O 0.681 0.329 0.630
O 0.687 0.320 0.994
O 0.693 0.530 0.318
O 0.698 0.334 0.812
O 0.707 0.537 0.139
O 0.712 0.010 0.729
O 0.715 0.845 0.233
O 0.816 0.952 0.393
O 0.819 0.799 0.887
O 0.821 0.074 0.898
O 0.822 0.664 0.401
O 0.888 0.123 0.493
O 0.898 0.111 0.130
O 0.901 0.132 0.311
O 0.901 0.555 0.989
O 0.905 0.558 0.628
O 0.907 0.535 0.809
O 0.982 0.591 0.215
O 0.983 0.998 0.719
O 0.994 0.713 0.729
O 0.994 0.865 0.233
CELL_PARAMETERS angstrom
9.791 0.000 0.000
4.878 8.493 0.000
0.085 0.087 13.999
! Calculated formation energy (eV per atom): -2.654
! Offset from the most stable computed form (eV per atom): 0.0088

***

| no. | total energy after the MP2020 corrections (eV/cell) |
| --- | --- |
| 1 | -354.2 |
| 2 | -352.3 |
| 3 | -670.1 |
| 4 | -208.8 |
| 5 | -74.1 |
| 6 | -278.7 |
| 7 | -695.2 |